1.
Here is an optimized crystal structure of K2P4H6PtO11 from Materials Project. Energies are from PBE.

Geometry as extended XYZ:
```
96
Lattice="13.440 0.000 0.000 0.000 13.440 0.000 0.000 0.000 8.179" Properties=species:S:1:pos:R:3 pbc="T T T"
K 1.594 5.126 0.000
K 3.026 3.694 4.089
K 3.694 10.414 4.089
K 5.126 11.846 0.000
K 8.315 1.594 0.000
K 9.747 3.026 4.089
K 10.414 9.747 4.089
K 11.846 8.315 0.000
P 1.554 1.749 1.513
P 1.554 1.749 6.665
P 1.749 11.887 1.513
P 1.749 11.887 6.665
P 4.971 5.167 1.513
P 4.971 5.167 6.665
P 5.167 8.469 1.513
P 5.167 8.469 6.665
P 8.274 4.971 1.513
P 8.274 4.971 6.665
P 8.469 8.274 1.513
P 8.469 8.274 6.665
P 11.692 1.554 1.513
P 11.692 1.554 6.665
P 11.887 11.692 1.513
P 11.887 11.692 6.665
H 0.406 10.351 2.272
H 0.406 10.351 5.906
H 1.716 8.437 0.762
H 1.716 8.437 7.417
H 3.089 0.406 2.272
H 3.089 0.406 5.906
H 3.631 7.126 2.272
H 3.631 7.126 5.906
H 5.004 1.716 0.762
H 5.004 1.716 7.417
H 6.314 3.631 2.272
H 6.314 3.631 5.906
H 7.126 9.810 2.272
H 7.126 9.810 5.906
H 8.437 11.724 0.762
H 8.437 11.724 7.417
H 9.810 6.314 2.272
H 9.810 6.314 5.906
H 10.351 13.034 2.272
H 10.351 13.034 5.906
H 11.724 5.004 0.762
H 11.724 5.004 7.417
H 13.034 3.089 2.272
H 13.034 3.089 5.906
Pt 0.000 0.000 1.484
Pt 0.000 0.000 6.695
Pt 6.720 6.720 1.484
Pt 6.720 6.720 6.695
O 1.100 3.132 1.992
O 1.100 3.132 6.187
O 1.283 8.004 0.000
O 1.422 10.547 2.324
O 1.422 10.547 5.854
O 1.973 11.258 0.000
O 2.182 1.973 0.000
O 2.893 1.422 2.324
O 2.893 1.422 5.854
O 3.132 12.340 1.992
O 3.132 12.340 6.187
O 3.588 5.620 1.992
O 3.588 5.620 6.187
O 3.827 8.142 2.324
O 3.827 8.142 5.854
O 4.538 8.693 0.000
O 4.747 4.538 0.000
O 5.298 3.827 2.324
O 5.298 3.827 5.854
O 5.437 1.283 0.000
O 5.620 9.852 1.992
O 5.620 9.852 6.187
O 7.820 3.588 1.992
O 7.820 3.588 6.187
O 8.004 12.157 0.000
O 8.142 9.614 2.324
O 8.142 9.614 5.854
O 8.693 8.902 0.000
O 8.902 4.747 0.000
O 9.614 5.298 2.324
O 9.614 5.298 5.854
O 9.852 7.820 1.992
O 9.852 7.820 6.187
O 10.309 1.100 1.992
O 10.309 1.100 6.187
O 10.547 12.018 2.324
O 10.547 12.018 5.854
O 11.258 11.468 0.000
O 11.468 2.182 0.000
O 12.018 2.893 2.324
O 12.018 2.893 5.854
O 12.157 5.437 0.000
O 12.340 10.309 1.992
O 12.340 10.309 6.187
```

Output
Mass density in Mg/m³: 2.6
M_tot in Bohr magnetons per cell: 0.23
Total DFT energy (no corrections) in eV/atom: -5.98
SG: No. 127
Energy of formation from the pure elements in meV per atom: -1934


2.
Here is an optimized crystal structure of Ho4CdS7 from Materials Project. Energies are from PBE.

Geometry as extended XYZ:
```
12
Lattice="6.361 -1.913 0.000 6.361 1.913 0.000 -2.961 0.000 11.181" Properties=species:S:1:pos:R:3 pbc="T T T"
Ho 0.000 0.000 0.000
Ho 3.125 0.000 6.766
Ho 6.261 0.000 4.164
Ho 6.446 0.000 8.983
Cd 9.637 0.000 2.479
S -1.787 0.000 8.382
S 1.557 0.000 3.396
S 1.973 0.000 9.508
S 5.100 0.000 1.695
S 8.270 0.000 0.198
S 7.591 0.000 6.559
S 10.794 0.000 5.016
```

Output
Mass density in Mg/m³: 6.1
M_tot in Bohr magnetons per cell: 0.00
Total DFT energy (no corrections) in eV/atom: -5.80
SG: No. 8
Energy of formation from the pure elements in meV per atom: -2076


3.
Here is an optimized crystal structure of USi2RuRh from Materials Project. Energies are from PBE.

Geometry as extended XYZ:
```
5
Lattice="-2.050 2.050 4.929 2.050 -2.050 4.929 2.050 2.050 -4.929" Properties=species:S:1:pos:R:3 pbc="T T T"
U 0.000 0.000 0.000
Si 0.000 0.000 3.729
Si 0.000 0.000 6.129
Ru 0.000 2.050 2.464
Rh 2.050 0.000 2.464
```

Output
Mass density in Mg/m³: 10.0
M_tot in Bohr magnetons per cell: 1.90
Total DFT energy (no corrections) in eV/atom: -8.51
SG: No. 119
Energy of formation from the pure elements in meV per atom: -751